DFT (GGA+U) results for a relaxed structure of LiMnP3H10O14.

a b c (Å): 7.5072 9.5533 10.2477
angles (deg): 113.43 104.09 88.23
Last column: nearest neighbours and their distance in Å.
Atoms (fractional coordinates):
O: 0.1059 0.0021 0.1802  2 P 1.61-1.64
P: 0.9161 0.8246 0.7136  4 O 1.49-1.65
O: 0.8794 0.2746 0.9529  2 P 1.59-1.65
H: 0.3519 0.2149 0.7638  1 O 0.99
H: 0.6041 0.1407 0.4937  1 O 1.00
O: 0.9076 0.2124 0.1754  2 P 1.57-1.65
O: 0.2547 0.2683 0.3109  1 P 1.49, 1 H 1.55
O: 0.7453 0.7317 0.6891  1 P 1.49, 1 H 1.55
O: 0.9893 0.8170 0.5864  1 P 1.51
O: 0.0107 0.1830 0.4136  1 P 1.51
H: 0.7127 0.6226 0.1553  1 O 0.98
H: 0.5949 0.0365 0.2505  1 O 0.99
O: 0.5489 0.0005 0.9456  1 H 1.02
H: 0.2873 0.3774 0.8447  1 O 0.98
P: 0.0162 0.1564 0.8644  4 O 1.49-1.65
O: 0.9931 0.8182 0.2712  1 P 1.49
O: 0.4511 0.9995 0.0544  1 H 1.02
O: 0.1206 0.7254 0.0471  2 P 1.59-1.65
O: 0.6800 0.5079 0.4355  2 H 0.98-1.02
P: 0.8508 0.3391 0.1143  4 O 1.48-1.59
H: 0.7015 0.5909 0.5396  1 O 1.02
O: 0.9350 0.4958 0.2099  1 P 1.48
O: 0.4366 0.8008 0.4149  2 H 0.98-1.00
H: 0.3444 0.0614 0.0326  1 O 1.02
O: 0.3400 0.9825 0.6624  2 H 0.99
H: 0.2985 0.4091 0.4604  1 O 1.02
O: 0.0069 0.1818 0.7288  1 P 1.49
O: 0.0924 0.7876 0.8246  2 P 1.57-1.65
O: 0.1977 0.1651 0.9685  1 P 1.49, 1 H 1.65
H: 0.7156 0.4131 0.4458  1 O 0.98
H: 0.4875 0.1265 0.5979  1 O 0.98
O: 0.3200 0.4921 0.5645  2 H 0.98-1.02
Li: 0.9717 0.6987 0.3756  3 O 1.88-1.98
O: 0.8941 0.9979 0.8198  2 P 1.61-1.64
P: 0.0839 0.1754 0.2864  4 O 1.49-1.65
Li: 0.0283 0.3013 0.6244  3 O 1.88-1.98
Mn: 0.5592 0.4504 0.7228  3 O 2.25-2.27
O: 0.6600 0.0175 0.3376  2 H 0.99
H: 0.4384 0.7550 0.9824  1 O 0.99
H: 0.2844 0.5869 0.5542  1 O 0.98
P: 0.1492 0.6609 0.8857  4 O 1.48-1.59
O: 0.5634 0.1992 0.5851  2 H 0.98-1.00
H: 0.5125 0.8735 0.4021  1 O 0.98
H: 0.5616 0.2450 0.0176  1 O 0.99
O: 0.3657 0.6603 0.9086  1 H 0.99
H: 0.2084 0.9495 0.6418  1 O 0.99
O: 0.0650 0.5042 0.7901  1 P 1.48
H: 0.4051 0.9635 0.7495  1 O 0.99
H: 0.3959 0.8593 0.5063  1 O 1.00
O: 0.8023 0.8349 0.0315  1 P 1.49, 1 H 1.65
O: 0.6127 0.6747 0.1971  2 H 0.98-0.99
Mn: 0.4408 0.5496 0.2772  3 O 2.25-2.27
H: 0.6481 0.7851 0.2362  1 O 0.99
O: 0.6343 0.3397 0.0914  1 H 0.99
H: 0.7916 0.0505 0.3582  1 O 0.99
H: 0.6556 0.9386 0.9674  1 O 1.02
O: 0.3873 0.3253 0.8029  2 H 0.98-0.99
P: 0.9838 0.8436 0.1356  4 O 1.49-1.65

Computed properties:
crystal system = triclinic
magnetic moment = 12.00 μB per cell
energy relative to the lowest polymorph listed for this composition = 206 meV per atom
space group = No. 2
formation enthalpy at 0 K = -1.71 eV/atom